1.
Below is a geometry-optimized AlBiO3 structure, with properties calculated at the PBE level.

abc: 7.2071 5.0945 8.6830
angles: 90.00 116.99 90.00
Space group P2_1/c (No. 14)
One atom of each set of equivalent atoms:
Al1 0.0935 0.2402 0.0122
Bi1 0.2907 0.7241 0.3809
O1 0.0256 0.0455 0.1559
O2 0.1683 0.5743 0.1109
O3 0.3465 0.1459 0.0286

Calculated values
- DFT total energy: -6.559 eV/atom
- Magnetization: 0.00 μB per atom

2.
Below is a geometry-optimized Al2Bi3O9 structure, with properties calculated at the PBE level.

abc: 3.6375 3.6375 12.6685
angles: 90.00 90.00 90.00
Space group P4/mmm (No. 123)
One atom of each set of equivalent atoms:
Al1 0.0000 0.0000 0.1664
Bi1 0.5000 0.5000 0.0000
Bi2 0.5000 0.5000 0.3692
O1 0.0000 0.0000 0.0000
O2 0.0000 0.0000 0.3150
O3 0.0000 0.5000 0.1499
O4 0.0000 0.5000 0.5000

Calculated values
- DFT total energy: -5.969 eV/atom
- ΔE to the lowest computed polymorph: 177 meV/atom
- Magnetization: 0.18 μB per atom

3.
Below is a geometry-optimized AlBiO3 structure, with properties calculated at the PBE level.

abc: 5.4151 5.4151 13.4288
angles: 90.00 90.00 120.00
Space group R3c (No. 161, hexagonal axes)
One atom of each set of equivalent atoms:
Al1 0.0000 0.0000 0.0000
Bi1 0.0000 0.0000 0.2270
O1 0.0101 0.4554 0.2612

Calculated values
- Piezoelectric modulus e_max: 5.06 C/m2
- DFT total energy: -6.584 eV/atom
- Magnetization: 0.00 μB per atom

4.
Below is a geometry-optimized AlBiO3 structure, with properties calculated at the PBE level.

abc: 6.3238 6.3238 11.8336
angles: 90.00 90.00 120.00
Space group P6_3cm (No. 185)
One atom of each set of equivalent atoms:
Al1 0.0000 0.0000 0.0000
Al2 0.3333 0.6667 0.0059
Bi1 0.0000 0.3250 0.2585
O1 0.0000 0.0000 0.1554
O2 0.0000 0.2534 0.4383
O3 0.0000 0.4600 0.0721
O4 0.3333 0.6667 0.3355

Calculated values
- DFT total energy: -6.120 eV/atom
- Magnetization: 0.00 μB per atom

5.
Below is a geometry-optimized Al2Bi3O9 structure, with properties calculated at the PBE level.

abc: 10.2333 5.2635 13.9191
angles: 90.00 93.69 90.00
Space group Cc (No. 9)
One atom of each set of equivalent atoms:
Al1 0.0000 0.0029 0.0000
Al2 0.3381 0.0104 0.6492
Bi1 0.0589 0.0152 0.7394
Bi2 0.2211 0.4953 0.0432
Bi3 0.4003 0.0031 0.3786
O1 0.0465 0.1884 0.8931
O2 0.0802 0.2926 0.4566
O3 0.1482 0.1274 0.0783
O4 0.2157 0.2820 0.6683
O5 0.2601 0.1434 0.2595
O6 0.3376 0.3998 0.9243
O7 0.3854 0.2062 0.5377
O8 0.4070 0.3064 0.1046
O9 0.4745 0.1092 0.7377

Calculated values
- DFT total energy: -6.146 eV/atom
- ΔE to the lowest computed polymorph: 0 meV/atom
- Magnetization: 0.07 μB per atom

6.
Below is a geometry-optimized AlBiO3 structure, with properties calculated at the PBE level.

abc: 3.6428 3.6428 12.8761
angles: 90.00 90.00 120.00
Space group P6_3/mmc (No. 194)
One atom of each set of equivalent atoms:
Al1 0.0000 0.0000 0.0000
Bi1 0.3333 0.6667 0.2500
O1 0.0000 0.0000 0.2500
O2 0.3333 0.6667 0.0617

Calculated values
- DFT total energy: -5.772 eV/atom
- Magnetization: 0.00 μB per atom

7.
Below is a geometry-optimized Al10Bi6O27 structure, with properties calculated at the PBE level.

abc: 8.4968 22.8653 5.7934
angles: 90.00 90.00 90.00
Space group Pbam (No. 55)
One atom of each set of equivalent atoms:
Al1 0.0000 0.0000 0.2486
Al2 0.0051 0.3312 0.2560
Al3 0.1613 0.4513 0.5000
Al4 0.1807 0.7810 0.5000
Bi1 0.1704 0.8877 0.0000
Bi2 0.1728 0.5573 0.0000
Bi3 0.1773 0.2153 0.0000
O1 0.0000 0.5000 0.5000
O2 0.0166 0.8286 0.5000
O3 0.0618 0.7201 0.0000
O4 0.0667 0.0489 0.0000
O5 0.0694 0.0420 0.5000
O6 0.0739 0.3806 0.0000
O7 0.0784 0.7140 0.5000
O8 0.0824 0.3790 0.5000
O9 0.1958 0.6322 0.2211
O10 0.2001 0.2890 0.2497
O11 0.2074 0.9584 0.2522

Calculated values
- DFT total energy: -6.515 eV/atom
- Magnetization: 0.14 μB per atom

8.
Below is a geometry-optimized AlBiO3 structure, with properties calculated at the PBE level.

abc: 3.7872 3.7872 3.7872
angles: 90.00 90.00 90.00
Space group Pm-3m (No. 221)
One atom of each set of equivalent atoms:
Al1 0.0000 0.0000 0.0000
Bi1 0.5000 0.5000 0.5000
O1 0.0000 0.0000 0.5000

Calculated values
- DFT total energy: -6.516 eV/atom
- Magnetization: 0.00 μB per atom